#A
Computed, not measured: crystalline HgH2C6N2Cl4 at its relaxed geometry at the PBE-GGA level of DFT.

Computed properties:
Total magnetic moment in μB per cell: 0.012

```
data_HgH2C6N2Cl4
_cell_length_a 10.978
_cell_length_b 6.609
_cell_length_c 20.969
_cell_angle_alpha 79.19
_cell_angle_beta 90.00
_cell_angle_gamma 90.00
_space_group_name_H-M_alt 'P 1'
_space_group_IT_number 1
loop_
_space_group_symop_operation_xyz
'x,y,z'
loop_
_atom_site_label
_atom_site_fract_x
_atom_site_fract_y
_atom_site_fract_z
_atom_site_occupancy
Hg1 0.266 0.123 0.169 1
Hg2 0.734 0.877 0.831 1
Hg3 0.766 0.877 0.331 1
Hg4 0.234 0.123 0.669 1
C1 0.948 0.581 0.672 1
C2 0.976 0.555 0.733 1
C3 0.263 0.565 0.444 1
C4 0.476 0.445 0.767 1
C5 0.759 0.006 0.551 1
C6 0.741 0.006 0.051 1
C7 0.752 0.208 0.043 1
C8 0.555 0.539 0.654 1
C9 0.945 0.539 0.154 1
C10 0.052 0.419 0.328 1
C11 0.259 0.994 0.949 1
C12 0.448 0.419 0.828 1
C13 0.055 0.461 0.846 1
C14 0.524 0.555 0.233 1
C15 0.237 0.565 0.944 1
C16 0.737 0.435 0.556 1
C17 0.024 0.445 0.267 1
C18 0.252 0.792 0.457 1
C19 0.763 0.435 0.056 1
C20 0.748 0.208 0.543 1
C21 0.241 0.994 0.449 1
C22 0.248 0.792 0.957 1
C23 0.552 0.581 0.172 1
C24 0.445 0.461 0.346 1
H1 0.849 0.389 0.834 1
H2 0.651 0.389 0.334 1
H3 0.735 0.441 0.950 1
H4 0.349 0.611 0.666 1
H5 0.235 0.559 0.550 1
H6 0.265 0.559 0.050 1
H7 0.765 0.441 0.450 1
H8 0.151 0.611 0.166 1
Cl1 0.076 0.209 0.088 1
Cl2 0.703 0.947 0.221 1
Cl3 0.576 0.791 0.412 1
Cl4 0.297 0.053 0.779 1
Cl5 0.732 0.367 0.842 1
Cl6 0.403 0.193 0.080 1
Cl7 0.424 0.209 0.588 1
Cl8 0.924 0.791 0.912 1
Cl9 0.097 0.193 0.580 1
Cl10 0.597 0.807 0.920 1
Cl11 0.232 0.633 0.658 1
Cl12 0.768 0.367 0.342 1
Cl13 0.903 0.807 0.420 1
Cl14 0.797 0.947 0.721 1
Cl15 0.268 0.633 0.158 1
Cl16 0.203 0.053 0.279 1
N1 0.252 0.606 0.001 1
N2 0.479 0.500 0.290 1
N3 0.979 0.500 0.210 1
N4 0.521 0.500 0.710 1
N5 0.752 0.394 0.499 1
N6 0.248 0.606 0.501 1
N7 0.021 0.500 0.790 1
N8 0.748 0.394 0.999 1
```

***

#B
Computed, not measured: crystalline HgH2C6N2Cl4 at its relaxed geometry at the PBE-GGA level of DFT.

Computed properties:
Total magnetic moment in μB per cell: 0.001

```
data_HgH2C6N2Cl4
_cell_length_a 13.791
_cell_length_b 6.739
_cell_length_c 16.428
_cell_angle_alpha 87.39
_cell_angle_beta 90.00
_cell_angle_gamma 90.00
_space_group_name_H-M_alt 'P 1'
_space_group_IT_number 1
loop_
_space_group_symop_operation_xyz
'x,y,z'
loop_
_atom_site_label
_atom_site_fract_x
_atom_site_fract_y
_atom_site_fract_z
_atom_site_occupancy
H1 0.733 0.589 0.044 1
H2 0.233 0.411 0.456 1
H3 0.423 0.538 0.320 1
H4 0.267 0.411 0.956 1
H5 0.577 0.462 0.680 1
H6 0.077 0.538 0.820 1
H7 0.767 0.589 0.544 1
H8 0.923 0.462 0.180 1
Cl1 0.681 0.053 0.832 1
Cl2 0.579 0.159 0.105 1
Cl3 0.293 0.357 0.793 1
Cl4 0.087 0.839 0.886 1
Cl5 0.587 0.161 0.614 1
Cl6 0.707 0.643 0.207 1
Cl7 0.207 0.357 0.293 1
Cl8 0.421 0.841 0.895 1
Cl9 0.913 0.161 0.114 1
Cl10 0.819 0.053 0.332 1
Cl11 0.413 0.839 0.386 1
Cl12 0.921 0.159 0.605 1
Cl13 0.181 0.947 0.668 1
Cl14 0.793 0.643 0.707 1
Cl15 0.079 0.841 0.395 1
Cl16 0.319 0.947 0.168 1
C1 0.283 0.122 0.099 1
C2 0.940 0.432 0.799 1
C3 0.253 0.136 0.520 1
C4 0.403 0.424 0.757 1
C5 0.560 0.432 0.299 1
C6 0.753 0.864 0.980 1
C7 0.003 0.459 0.285 1
C8 0.503 0.541 0.215 1
C9 0.813 0.688 0.429 1
C10 0.597 0.576 0.243 1
C11 0.997 0.541 0.715 1
C12 0.497 0.459 0.785 1
C13 0.060 0.568 0.201 1
C14 0.687 0.688 0.929 1
C15 0.313 0.312 0.071 1
C16 0.217 0.122 0.599 1
C17 0.783 0.878 0.401 1
C18 0.903 0.576 0.743 1
C19 0.097 0.424 0.257 1
C20 0.440 0.568 0.701 1
C21 0.187 0.312 0.571 1
C22 0.717 0.878 0.901 1
C23 0.247 0.136 0.020 1
C24 0.747 0.864 0.480 1
Hg1 0.746 0.095 0.085 1
Hg2 0.254 0.905 0.915 1
Hg3 0.246 0.905 0.415 1
Hg4 0.754 0.095 0.585 1
N1 0.740 0.648 0.490 1
N2 0.458 0.439 0.283 1
N3 0.958 0.561 0.217 1
N4 0.240 0.352 0.010 1
N5 0.042 0.439 0.783 1
N6 0.260 0.352 0.510 1
N7 0.760 0.648 0.990 1
N8 0.542 0.561 0.717 1
```

***

Energies relative to the most stable structure are #A 0.261; #B 0.000, reported in eV/atom.

***

#A
Computed, not measured: crystalline H16PtC4N2Cl6 at its relaxed geometry at the PBE-GGA level of DFT.

Computed properties:
Total magnetic moment in μB per cell: 0.000

```
data_H16PtC4N2Cl6
_cell_length_a 8.065
_cell_length_b 8.065
_cell_length_c 7.379
_cell_angle_alpha 64.12
_cell_angle_beta 64.12
_cell_angle_gamma 75.02
_space_group_name_H-M_alt 'P 1'
_space_group_IT_number 1
loop_
_space_group_symop_operation_xyz
'x,y,z'
loop_
_atom_site_label
_atom_site_fract_x
_atom_site_fract_y
_atom_site_fract_z
_atom_site_occupancy
H1 0.290 0.032 0.958 1
H2 0.650 0.650 0.463 1
H3 0.354 0.354 0.757 1
H4 0.286 0.027 0.718 1
H5 0.032 0.290 0.958 1
H6 0.350 0.350 0.537 1
H7 0.936 0.504 0.281 1
H8 0.710 0.968 0.042 1
H9 0.714 0.973 0.282 1
H10 0.973 0.714 0.282 1
H11 0.496 0.064 0.719 1
H12 0.064 0.496 0.719 1
H13 0.504 0.936 0.281 1
H14 0.646 0.646 0.243 1
H15 0.027 0.286 0.718 1
H16 0.968 0.710 0.042 1
N1 0.293 0.293 0.705 1
N2 0.707 0.707 0.295 1
Cl1 0.336 0.666 0.231 1
Cl2 0.666 0.336 0.231 1
Cl3 0.278 0.278 0.213 1
Cl4 0.722 0.722 0.787 1
Cl5 0.664 0.334 0.769 1
Cl6 0.334 0.664 0.769 1
C1 0.091 0.344 0.780 1
C2 0.909 0.656 0.220 1
C3 0.656 0.909 0.220 1
C4 0.344 0.091 0.780 1
Pt1 0.500 0.500 0.000 1
```

***

#B
Computed, not measured: crystalline H16PtC4N2Cl6 at its relaxed geometry at the PBE-GGA level of DFT.

Computed properties:
Total magnetic moment in μB per cell: 0.001

```
data_H16PtC4N2Cl6
_cell_length_a 7.358
_cell_length_b 8.669
_cell_length_c 8.669
_cell_angle_alpha 73.90
_cell_angle_beta 64.89
_cell_angle_gamma 64.89
_space_group_name_H-M_alt 'P 1'
_space_group_IT_number 1
loop_
_space_group_symop_operation_xyz
'x,y,z'
loop_
_atom_site_label
_atom_site_fract_x
_atom_site_fract_y
_atom_site_fract_z
_atom_site_occupancy
H1 0.544 0.344 0.344 1
H2 0.279 0.924 0.519 1
H3 0.710 0.290 0.046 1
H4 0.710 0.046 0.290 1
H5 0.769 0.344 0.344 1
H6 0.290 0.954 0.710 1
H7 0.046 0.954 0.710 1
H8 0.231 0.656 0.656 1
H9 0.456 0.656 0.656 1
H10 0.954 0.290 0.046 1
H11 0.721 0.481 0.076 1
H12 0.046 0.710 0.954 1
H13 0.721 0.076 0.481 1
H14 0.290 0.710 0.954 1
H15 0.279 0.519 0.924 1
H16 0.954 0.046 0.290 1
Cl1 0.230 0.343 0.657 1
Cl2 0.200 0.300 0.300 1
Cl3 0.800 0.700 0.700 1
Cl4 0.770 0.657 0.343 1
Cl5 0.230 0.657 0.343 1
Cl6 0.770 0.343 0.657 1
N1 0.710 0.290 0.290 1
N2 0.290 0.710 0.710 1
C1 0.221 0.659 0.899 1
C2 0.779 0.101 0.341 1
C3 0.779 0.341 0.101 1
C4 0.221 0.899 0.659 1
Pt1 0.000 0.500 0.500 1
```

***

Energies relative to the most stable structure are #A 0.006; #B 0.000, reported in eV/atom.

***

#A
Computed, not measured: crystalline HgC4NCl3 at its relaxed geometry at the PBE-GGA level of DFT.

Computed properties:
Total magnetic moment in μB per cell: 3.998

```
data_HgC4NCl3
_cell_length_a 15.664
_cell_length_b 7.579
_cell_length_c 10.080
_cell_angle_alpha 85.59
_cell_angle_beta 90.00
_cell_angle_gamma 90.00
_space_group_name_H-M_alt 'P 1'
_space_group_IT_number 1
loop_
_space_group_symop_operation_xyz
'x,y,z'
loop_
_atom_site_label
_atom_site_fract_x
_atom_site_fract_y
_atom_site_fract_z
_atom_site_occupancy
Cl1 0.635 0.574 0.486 1
Cl2 0.450 0.901 0.626 1
Cl3 0.866 0.083 0.896 1
Cl4 0.621 0.252 0.870 1
Cl5 0.135 0.426 0.514 1
Cl6 0.905 0.588 0.248 1
Cl7 0.366 0.917 0.104 1
Cl8 0.405 0.412 0.752 1
Cl9 0.121 0.748 0.130 1
Cl10 0.142 0.252 0.019 1
Cl11 0.642 0.748 0.981 1
Cl12 0.950 0.099 0.374 1
C1 0.390 0.546 0.197 1
C2 0.165 0.111 0.913 1
C3 0.890 0.454 0.803 1
C4 0.838 0.684 0.627 1
C5 0.179 0.017 0.819 1
C6 0.196 0.917 0.722 1
C7 0.338 0.316 0.373 1
C8 0.222 0.898 0.480 1
C9 0.896 0.294 0.868 1
C10 0.396 0.706 0.132 1
C11 0.452 0.572 0.093 1
C12 0.665 0.889 0.087 1
C13 0.696 0.083 0.278 1
C14 0.722 0.102 0.520 1
C15 0.952 0.428 0.907 1
C16 0.679 0.983 0.181 1
Hg1 0.020 0.486 0.376 1
Hg2 0.520 0.514 0.624 1
Hg3 0.534 0.076 0.751 1
Hg4 0.034 0.924 0.249 1
N1 0.859 0.572 0.710 1
N2 0.710 0.093 0.402 1
N3 0.359 0.428 0.290 1
N4 0.210 0.907 0.598 1
```

***

#B
Computed, not measured: crystalline HgC4NCl3 at its relaxed geometry at the PBE-GGA level of DFT.

Computed properties:
Total magnetic moment in μB per cell: 7.999

```
data_HgC4NCl3
_cell_length_a 15.505
_cell_length_b 7.923
_cell_length_c 9.422
_cell_angle_alpha 79.39
_cell_angle_beta 90.00
_cell_angle_gamma 90.00
_space_group_name_H-M_alt 'P 1'
_space_group_IT_number 1
loop_
_space_group_symop_operation_xyz
'x,y,z'
loop_
_atom_site_label
_atom_site_fract_x
_atom_site_fract_y
_atom_site_fract_z
_atom_site_occupancy
Hg1 0.959 0.928 0.272 1
Hg2 0.459 0.072 0.728 1
Hg3 0.902 0.384 0.308 1
Hg4 0.402 0.616 0.692 1
Cl1 0.907 0.289 0.089 1
Cl2 0.568 0.933 0.619 1
Cl3 0.132 0.572 0.202 1
Cl4 0.644 0.944 0.074 1
Cl5 0.887 0.758 0.129 1
Cl6 0.632 0.428 0.798 1
Cl7 0.891 0.462 0.531 1
Cl8 0.068 0.067 0.381 1
Cl9 0.144 0.056 0.926 1
Cl10 0.391 0.538 0.469 1
Cl11 0.407 0.711 0.911 1
Cl12 0.387 0.242 0.871 1
C1 0.851 0.981 0.465 1
C2 0.208 0.076 0.055 1
C3 0.123 0.579 0.031 1
C4 0.629 0.464 0.230 1
C5 0.623 0.421 0.969 1
C6 0.351 0.019 0.535 1
C7 0.145 0.442 0.535 1
C8 0.645 0.558 0.465 1
C9 0.799 0.945 0.717 1
C10 0.627 0.449 0.096 1
C11 0.127 0.551 0.904 1
C12 0.129 0.536 0.770 1
C13 0.708 0.924 0.945 1
C14 0.251 0.063 0.170 1
C15 0.751 0.937 0.830 1
C16 0.299 0.055 0.283 1
N1 0.325 0.038 0.412 1
N2 0.825 0.962 0.588 1
N3 0.138 0.485 0.651 1
N4 0.638 0.515 0.349 1
```

***

Energies relative to the most stable structure are #A 0.023; #B 0.000, reported in eV/atom.

***

#A
Computed, not measured: crystalline HgCN2Cl2O at its relaxed geometry at the PBE-GGA level of DFT.

Computed properties:
Total magnetic moment in μB per cell: 4.001

```
data_HgCN2Cl2O
_cell_length_a 7.494
_cell_length_b 10.367
_cell_length_c 11.578
_cell_angle_alpha 75.35
_cell_angle_beta 77.17
_cell_angle_gamma 84.25
_space_group_name_H-M_alt 'P 1'
_space_group_IT_number 1
loop_
_space_group_symop_operation_xyz
'x,y,z'
loop_
_atom_site_label
_atom_site_fract_x
_atom_site_fract_y
_atom_site_fract_z
_atom_site_occupancy
O1 0.380 0.836 0.126 1
O2 0.630 0.323 0.534 1
O3 0.620 0.164 0.874 1
O4 0.370 0.677 0.466 1
Hg1 0.211 0.157 0.987 1
Hg2 0.789 0.843 0.013 1
Hg3 0.810 0.580 0.373 1
Hg4 0.190 0.420 0.627 1
Cl1 0.123 0.335 0.476 1
Cl2 0.744 0.741 0.869 1
Cl3 0.256 0.259 0.131 1
Cl4 0.158 0.061 0.838 1
Cl5 0.733 0.516 0.215 1
Cl6 0.267 0.484 0.785 1
Cl7 0.842 0.939 0.162 1
Cl8 0.877 0.665 0.524 1
N1 0.298 0.032 0.452 1
N2 0.688 0.089 0.538 1
N3 0.795 0.372 0.812 1
N4 0.702 0.968 0.548 1
N5 0.312 0.911 0.462 1
N6 0.766 0.339 0.933 1
N7 0.234 0.661 0.067 1
N8 0.205 0.628 0.188 1
C1 0.698 0.259 0.874 1
C2 0.659 0.207 0.533 1
C3 0.341 0.793 0.467 1
C4 0.302 0.741 0.126 1
```

***

#B
Computed, not measured: crystalline HgCN2Cl2O at its relaxed geometry at the PBE-GGA level of DFT.

Computed properties:
Total magnetic moment in μB per cell: 0.000

```
data_HgCN2Cl2O
_cell_length_a 7.407
_cell_length_b 9.319
_cell_length_c 11.064
_cell_angle_alpha 74.70
_cell_angle_beta 76.86
_cell_angle_gamma 81.77
_space_group_name_H-M_alt 'P 1'
_space_group_IT_number 1
loop_
_space_group_symop_operation_xyz
'x,y,z'
loop_
_atom_site_label
_atom_site_fract_x
_atom_site_fract_y
_atom_site_fract_z
_atom_site_occupancy
N1 0.199 0.054 0.090 1
N2 0.276 0.347 0.431 1
N3 0.777 0.896 0.037 1
N4 0.294 0.380 0.305 1
N5 0.706 0.620 0.695 1
N6 0.801 0.946 0.910 1
N7 0.724 0.653 0.569 1
N8 0.223 0.104 0.963 1
Cl1 0.234 0.501 0.718 1
Cl2 0.668 0.048 0.331 1
Cl3 0.239 0.733 0.361 1
Cl4 0.332 0.952 0.669 1
Cl5 0.342 0.704 0.031 1
Cl6 0.761 0.267 0.639 1
Cl7 0.658 0.296 0.969 1
Cl8 0.766 0.499 0.282 1
C1 0.831 0.794 0.962 1
C2 0.802 0.742 0.623 1
C3 0.169 0.206 0.038 1
C4 0.198 0.258 0.377 1
O1 0.116 0.152 0.385 1
O2 0.126 0.332 0.052 1
O3 0.884 0.848 0.615 1
O4 0.874 0.668 0.948 1
Hg1 0.292 0.595 0.878 1
Hg2 0.287 0.842 0.513 1
Hg3 0.708 0.405 0.122 1
Hg4 0.713 0.158 0.487 1
```

***

Energies relative to the most stable structure are #A 0.000; #B 0.010, reported in eV/atom.